No. 1
This record from Materials Project describes an optimized crystal structure of Nb2CuTe4. The functional is PBE.

Calculated total energy (eV per atom): -5.6364
Crystal system: monoclinic
Energy of formation from the pure elements (kJ/mol of formula units): -412

```
Nb2CuTe4
1.0
6.768 0.000 0.000
0.000 3.684 0.000
-2.182 0.000 7.012
Nb Cu Te
2 1 4
direct
0.000 0.000 0.000
0.365 0.500 0.990
0.581 0.500 0.414
0.177 0.500 0.283
0.178 0.000 0.709
0.680 0.000 0.202
0.685 0.500 0.781
```

No. 2
This record from Materials Project describes an optimized crystal structure of UAs2. The functional is PBE.

Calculated total energy (eV per atom): -7.4579
Crystal system: orthorhombic
Energy of formation from the pure elements (kJ/mol of formula units): -170

```
UAs2
1.0
7.130 0.000 0.000
0.000 3.882 0.000
0.000 0.000 9.391
U As
4 8
direct
0.207 0.250 0.148
0.293 0.750 0.648
0.707 0.250 0.352
0.793 0.750 0.852
0.094 0.250 0.830
0.106 0.250 0.453
0.394 0.750 0.953
0.406 0.750 0.330
0.594 0.250 0.670
0.606 0.250 0.047
0.894 0.750 0.547
0.906 0.750 0.170
```

No. 3
This record from Materials Project describes an optimized crystal structure of Hg12Se6O25. The functional is PBE.

Calculated total energy (eV per atom): -3.9060
Crystal system: trigonal
Energy of formation from the pure elements (kJ/mol of formula units): -3552

```
Hg12Se6O25
1.0
7.840 4.526 3.465
-7.840 4.526 3.465
0.000 -9.052 3.465
Hg Se O
12 6 25
direct
0.014 0.327 0.544
0.111 0.745 0.160
0.160 0.111 0.745
0.255 0.840 0.889
0.327 0.544 0.014
0.456 0.986 0.673
0.544 0.014 0.327
0.673 0.456 0.986
0.745 0.160 0.111
0.840 0.889 0.255
0.889 0.255 0.840
0.986 0.673 0.456
0.209 0.497 0.339
0.339 0.209 0.497
0.497 0.339 0.209
0.503 0.661 0.791
0.661 0.791 0.503
0.791 0.503 0.661
0.000 0.000 0.000
0.024 0.414 0.348
0.082 0.295 0.777
0.138 0.142 0.453
0.142 0.453 0.138
0.223 0.918 0.705
0.255 0.699 0.428
0.295 0.777 0.082
0.301 0.572 0.745
0.348 0.024 0.414
0.414 0.348 0.024
0.428 0.255 0.699
0.453 0.138 0.142
0.547 0.862 0.858
0.572 0.745 0.301
0.586 0.652 0.976
0.652 0.976 0.586
0.699 0.428 0.255
0.705 0.223 0.918
0.745 0.301 0.572
0.777 0.082 0.295
0.858 0.547 0.862
0.862 0.858 0.547
0.918 0.705 0.223
0.976 0.586 0.652
```

No. 4
This record from Materials Project describes an optimized crystal structure of CePmZn2. The functional is PBE.

Calculated total energy (eV per atom): -3.5500
Crystal system: cubic
Energy of formation from the pure elements (kJ/mol of formula units): -96

```
CePmZn2
1.0
0.000 3.653 3.653
3.653 0.000 3.653
3.653 3.653 0.000
Ce Pm Zn
1 1 2
direct
0.000 0.000 0.000
0.500 0.500 0.500
0.250 0.250 0.250
0.750 0.750 0.750
```

No. 5
This record from Materials Project describes an optimized crystal structure of Ca2AsClO4. The functional is PBE.

Calculated total energy (eV per atom): -6.1232
Crystal system: orthorhombic
Energy of formation from the pure elements (kJ/mol of formula units): -2067

```
Ca2AsClO4
1.0
6.411 0.000 0.000
0.000 7.185 0.000
0.000 0.000 11.176
Ca As Cl O
8 4 4 16
direct
0.124 0.250 0.000
0.124 0.250 0.500
0.360 0.524 0.250
0.360 0.976 0.750
0.640 0.024 0.250
0.640 0.476 0.750
0.876 0.750 0.000
0.876 0.750 0.500
0.371 0.750 0.000
0.371 0.750 0.500
0.629 0.250 0.000
0.629 0.250 0.500
0.002 0.701 0.750
0.002 0.799 0.250
0.998 0.201 0.750
0.998 0.299 0.250
0.207 0.566 0.029
0.207 0.566 0.471
0.207 0.934 0.529
0.207 0.934 0.971
0.469 0.237 0.624
0.469 0.237 0.876
0.469 0.263 0.124
0.469 0.263 0.376
0.531 0.737 0.624
0.531 0.737 0.876
0.531 0.763 0.124
0.531 0.763 0.376
0.793 0.066 0.029
0.793 0.066 0.471
0.793 0.434 0.529
0.793 0.434 0.971
```

No. 6
This record from Materials Project describes an optimized crystal structure of CeSe2. The functional is PBE.

Calculated total energy (eV per atom): -5.7969
Crystal system: monoclinic
Energy of formation from the pure elements (kJ/mol of formula units): -522

```
CeSe2
1.0
10.228 -3.952 0.000
10.228 3.952 0.000
-1.334 0.000 7.368
Ce Se
6 12
direct
0.140 0.860 0.750
0.196 0.480 0.173
0.480 0.196 0.673
0.520 0.804 0.327
0.804 0.520 0.827
0.860 0.140 0.250
0.049 0.805 0.040
0.157 0.361 0.820
0.195 0.951 0.460
0.279 0.536 0.539
0.361 0.157 0.320
0.464 0.721 0.961
0.536 0.279 0.039
0.639 0.843 0.680
0.721 0.464 0.461
0.805 0.049 0.540
0.843 0.639 0.180
0.951 0.195 0.960
```

No. 7
This record from Materials Project describes an optimized crystal structure of SmBr3. The functional is PBE.

Calculated total energy (eV per atom): -4.3029
Crystal system: orthorhombic
Energy of formation from the pure elements (kJ/mol of formula units): -886

```
SmBr3
1.0
2.026 -7.157 0.000
2.026 7.157 0.000
0.000 0.000 9.242
Sm Br
2 6
direct
0.241 0.759 0.750
0.759 0.241 0.250
0.157 0.843 0.068
0.157 0.843 0.432
0.402 0.598 0.250
0.598 0.402 0.750
0.843 0.157 0.568
0.843 0.157 0.932
```

No. 8
This record from Materials Project describes an optimized crystal structure of CaGaAu3. The functional is PBE.

Calculated total energy (eV per atom): -3.5498
Crystal system: cubic
Energy of formation from the pure elements (kJ/mol of formula units): -279

```
CaGaAu3
1.0
9.272 0.000 0.000
0.000 9.272 0.000
0.000 0.000 9.272
Ca Ga Au
8 8 24
direct
0.107 0.107 0.107
0.107 0.393 0.607
0.393 0.607 0.107
0.393 0.893 0.607
0.607 0.107 0.393
0.607 0.393 0.893
0.893 0.607 0.393
0.893 0.893 0.893
0.104 0.604 0.896
0.104 0.896 0.396
0.396 0.104 0.896
0.396 0.396 0.396
0.604 0.604 0.604
0.604 0.896 0.104
0.896 0.104 0.604
0.896 0.396 0.104
0.079 0.739 0.142
0.079 0.761 0.642
0.142 0.079 0.739
0.142 0.421 0.239
0.239 0.142 0.421
0.239 0.358 0.921
0.261 0.642 0.421
0.261 0.858 0.921
0.358 0.579 0.739
0.358 0.921 0.239
0.421 0.239 0.142
0.421 0.261 0.642
0.579 0.739 0.358
0.579 0.761 0.858
0.642 0.079 0.761
0.642 0.421 0.261
0.739 0.142 0.079
0.739 0.358 0.579
0.761 0.642 0.079
0.761 0.858 0.579
0.858 0.579 0.761
0.858 0.921 0.261
0.921 0.239 0.358
0.921 0.261 0.858
```

No. 9
This record from Materials Project describes an optimized crystal structure of ZnNi4S8. The functional is PBE.

Calculated total energy (eV per atom): -4.6746
Crystal system: trigonal
ΔE to the lowest computed polymorph (eV per formula unit): 0.11
Energy of formation from the pure elements (kJ/mol of formula units): -706

```
ZnNi4S8
1.0
3.404 1.965 5.554
-3.404 1.965 5.554
0.000 -3.930 5.554
Zn Ni S
1 4 8
direct
0.000 0.000 0.000
0.000 0.500 0.500
0.500 0.000 0.500
0.500 0.500 0.000
0.500 0.500 0.500
0.258 0.258 0.712
0.258 0.712 0.258
0.263 0.263 0.263
0.288 0.742 0.742
0.712 0.258 0.258
0.737 0.737 0.737
0.742 0.288 0.742
0.742 0.742 0.288
```

No. 10
This record from Materials Project describes an optimized crystal structure of Hf2TcRu. The functional is PBE.

Calculated total energy (eV per atom): -10.5643
Crystal system: cubic
Energy of formation from the pure elements (kJ/mol of formula units): -261

```
Hf2TcRu
1.0
0.000 3.250 3.250
3.250 0.000 3.250
3.250 3.250 0.000
Hf Tc Ru
2 1 1
direct
0.250 0.250 0.250
0.750 0.750 0.750
0.000 0.000 0.000
0.500 0.500 0.500
```

No. 11
This record from Materials Project describes an optimized crystal structure of MgSb4O10. The functional is PBE.

Calculated total energy (eV per atom): -5.9078
Crystal system: triclinic
ΔE to the lowest computed polymorph (eV per formula unit): 0.81
Energy of formation from the pure elements (kJ/mol of formula units): -2691

```
MgSb4O10
1.0
5.428 0.000 0.000
-0.511 5.404 0.000
-2.674 -2.114 7.490
Mg Sb O
1 4 10
direct
0.000 0.000 0.000
0.193 0.582 0.203
0.311 0.820 0.685
0.689 0.180 0.315
0.807 0.418 0.797
0.017 0.739 0.775
0.149 0.336 0.963
0.172 0.794 0.428
0.356 0.908 0.163
0.454 0.503 0.683
0.546 0.497 0.317
0.644 0.092 0.837
0.828 0.206 0.572
0.851 0.664 0.037
0.983 0.261 0.225
```

No. 12
This record from Materials Project describes an optimized crystal structure of NaCa2SiO4F. The functional is PBE.

Calculated total energy (eV per atom): -6.3160
Crystal system: triclinic
ΔE to the lowest computed polymorph (eV per formula unit): 0.86
Energy of formation from the pure elements (kJ/mol of formula units): -2662

```
NaCa2SiO4F
1.0
7.642 0.000 0.000
0.436 7.830 0.000
0.381 0.280 8.084
Na Ca Si O F
4 8 4 16 4
direct
0.000 0.000 0.000
0.067 0.469 0.457
0.539 0.487 0.511
0.639 0.961 0.730
0.107 0.464 0.027
0.293 0.249 0.743
0.354 0.948 0.037
0.447 0.052 0.394
0.579 0.523 0.915
0.770 0.748 0.219
0.953 0.702 0.745
0.971 0.074 0.457
0.252 0.753 0.340
0.337 0.748 0.712
0.759 0.254 0.191
0.832 0.250 0.785
0.135 0.636 0.237
0.189 0.956 0.300
0.194 0.816 0.865
0.223 0.699 0.540
0.234 0.198 0.003
0.308 0.530 0.800
0.367 0.969 0.643
0.465 0.751 0.288
0.557 0.701 0.699
0.628 0.287 0.735
0.735 0.064 0.272
0.825 0.254 0.997
0.843 0.618 0.990
0.869 0.357 0.315
0.906 0.059 0.733
0.969 0.390 0.714
0.307 0.296 0.459
0.559 0.354 0.187
0.635 0.906 0.998
0.862 0.805 0.485
```

No. 13
This record from Materials Project describes an optimized crystal structure of YSi3Ni5. The functional is PBE.

Calculated total energy (eV per atom): -6.4545
Crystal system: orthorhombic
Energy of formation from the pure elements (kJ/mol of formula units): -622

```
YSi3Ni5
1.0
18.719 0.000 0.000
0.000 3.792 0.000
0.000 0.000 6.631
Y Si Ni
4 12 20
direct
0.144 0.250 0.123
0.356 0.750 0.623
0.644 0.250 0.377
0.856 0.750 0.877
0.074 0.750 0.844
0.086 0.750 0.418
0.237 0.250 0.622
0.263 0.750 0.122
0.414 0.250 0.918
0.426 0.250 0.344
0.574 0.750 0.656
0.586 0.750 0.082
0.737 0.250 0.878
0.763 0.750 0.378
0.914 0.250 0.582
0.926 0.250 0.156
0.005 0.750 0.133
0.015 0.250 0.384
0.115 0.250 0.643
0.200 0.750 0.814
0.206 0.750 0.431
0.294 0.250 0.931
0.300 0.250 0.314
0.385 0.750 0.143
0.485 0.750 0.884
0.495 0.250 0.633
0.505 0.750 0.367
0.515 0.250 0.116
0.615 0.250 0.857
0.700 0.750 0.686
0.706 0.750 0.069
0.794 0.250 0.569
0.800 0.250 0.186
0.885 0.750 0.357
0.985 0.750 0.616
0.995 0.250 0.867
```

No. 14
This record from Materials Project describes an optimized crystal structure of SrCl3. The functional is PBE.

Calculated total energy (eV per atom): -3.3282
Crystal system: hexagonal
Energy of formation from the pure elements (kJ/mol of formula units): -764

```
SrCl3
1.0
6.340 0.000 0.000
-3.170 5.490 0.000
0.000 0.000 5.721
Sr Cl
2 6
direct
0.333 0.667 0.250
0.667 0.333 0.750
0.173 0.346 0.750
0.173 0.827 0.750
0.346 0.173 0.250
0.654 0.827 0.750
0.827 0.173 0.250
0.827 0.654 0.250
```

No. 15
This record from Materials Project describes an optimized crystal structure of BaSrLaBiO6. The functional is PBE.

Calculated total energy (eV per atom): -6.5728
Crystal system: orthorhombic
ΔE to the lowest computed polymorph (eV per formula unit): 0.15
Energy of formation from the pure elements (kJ/mol of formula units): -2675

```
BaSrLaBiO6
1.0
8.817 0.000 0.000
0.000 8.817 0.000
0.000 0.000 8.826
Ba Sr La Bi O
4 4 4 4 24
direct
0.000 0.000 0.000
0.000 0.000 0.500
0.500 0.000 0.000
0.500 0.500 0.000
0.000 0.500 0.000
0.000 0.500 0.500
0.500 0.000 0.500
0.500 0.500 0.500
0.250 0.252 0.253
0.250 0.748 0.747
0.750 0.252 0.747
0.750 0.748 0.253
0.250 0.253 0.746
0.250 0.747 0.254
0.750 0.253 0.254
0.750 0.747 0.746
0.014 0.290 0.703
0.014 0.710 0.297
0.212 0.295 0.985
0.212 0.705 0.015
0.216 0.014 0.778
0.216 0.986 0.222
0.289 0.206 0.511
0.289 0.794 0.489
0.293 0.489 0.706
0.293 0.511 0.294
0.488 0.224 0.787
0.488 0.776 0.213
0.512 0.224 0.213
0.512 0.776 0.787
0.707 0.489 0.294
0.707 0.511 0.706
0.711 0.206 0.489
0.711 0.794 0.511
0.784 0.014 0.222
0.784 0.986 0.778
0.788 0.295 0.015
0.788 0.705 0.985
0.986 0.290 0.297
0.986 0.710 0.703
```